## P
Li4MnSi2O7: relaxed, GGA+U.

Results
mass density = 2.8 g/cm³

a = 5.4904 Å, b = 13.4886 Å, c = 8.1622 Å
α = 84.63°, β = 90.00°, γ = 90.00°
Closest atoms and distances in Å follow each position.
Element x y z (fractional)
Si 0.3300 0.3653 0.2367  4 O 1.63-1.74
Si 0.8300 0.8653 0.2367  4 O 1.63-1.74
Li 0.3414 0.9219 0.3756  3 O 1.94-2.05
Si 0.1700 0.8653 0.7367  4 O 1.63-1.74
O 0.6867 0.1650 0.0246  1 Si 1.64
Li 0.1774 0.2933 0.5943  4 O 1.93-2.05
O 0.8144 0.9738 0.1049  2 Si 1.71-1.74
O 0.6147 0.3371 0.2701  1 Si 1.63
O 0.1965 0.1068 0.8372  1 Si 1.65
O 0.3144 0.4738 0.1049  2 Si 1.71-1.74
Li 0.1902 0.9952 0.0212  3 O 1.94-2.02
O 0.3157 0.8885 0.9023  1 Si 1.63
O 0.3799 0.0427 0.2053  1 Si 1.64
Mn 0.8385 0.1493 0.7993  4 O 2.05-2.09
O 0.6886 0.7792 0.1401  1 Si 1.66
O 0.1147 0.8371 0.2701  1 Si 1.63
Mn 0.6614 0.6493 0.2992  4 O 2.05-2.09
O 0.6966 0.6068 0.8372  1 Si 1.65
Si 0.6655 0.0738 0.1714  4 O 1.64-1.71
O 0.1201 0.5427 0.7053  1 Si 1.64
O 0.6856 0.4738 0.6049  2 Si 1.71-1.74
Li 0.1452 0.7237 0.4469  4 O 2.01-2.07
Li 0.3547 0.2236 0.9469  4 O 2.01-2.07
Li 0.6902 0.4952 0.0212  3 O 1.94-2.03
O 0.3034 0.6069 0.3372  1 Si 1.65
Si 0.1655 0.5738 0.1713  4 O 1.64-1.71
Si 0.8345 0.5738 0.6713  4 O 1.64-1.71
O 0.3133 0.1650 0.5246  1 Si 1.64
O 0.8132 0.6650 0.5245  1 Si 1.64
O 0.1886 0.2792 0.1401  1 Si 1.66
O 0.8035 0.1068 0.3372  1 Si 1.65
Li 0.6453 0.2236 0.4469  4 O 2.01-2.07
O 0.8114 0.2792 0.6401  1 Si 1.66
Li 0.1586 0.4219 0.8756  3 O 1.94-2.05
Li 0.8098 0.9952 0.5212  3 O 1.94-2.02
Li 0.8414 0.4219 0.3756  3 O 1.94-2.05
O 0.8157 0.3885 0.9023  1 Si 1.63
O 0.8853 0.8371 0.7701  1 Si 1.63
O 0.6201 0.0427 0.7053  1 Si 1.64
O 0.8799 0.5427 0.2053  1 Si 1.64
O 0.6843 0.8885 0.4023  1 Si 1.63
O 0.1843 0.3885 0.4023  1 Si 1.63
Li 0.8548 0.7237 0.9469  4 O 2.01-2.07
O 0.3853 0.3371 0.7701  1 Si 1.63
O 0.1856 0.9738 0.6049  2 Si 1.71-1.74
Li 0.3098 0.4952 0.5212  3 O 1.94-2.03
O 0.1868 0.6650 0.0245  1 Si 1.64
Mn 0.1615 0.1493 0.2993  4 O 2.05-2.09
Si 0.3345 0.0738 0.6714  4 O 1.64-1.71
O 0.3114 0.7792 0.6401  1 Si 1.66
Li 0.8226 0.2933 0.0943  4 O 1.93-2.05
Li 0.3226 0.7934 0.0943  4 O 1.93-2.05
Si 0.6700 0.3653 0.7367  4 O 1.63-1.74
Li 0.6586 0.9219 0.8756  3 O 1.94-2.05
Mn 0.3386 0.6493 0.7992  4 O 2.05-2.09
Li 0.6774 0.7934 0.5943  4 O 1.93-2.05

## Q
Li4MnSi2O7: relaxed, GGA+U.

Results
mass density = 2.8 g/cm³

a = 6.9212 Å, b = 9.5394 Å, c = 9.1898 Å
α = 90.00°, β = 90.00°, γ = 78.33°
Closest atoms and distances in Å follow each position.
Element x y z (fractional)
O 0.2324 0.9477 0.3549  1 Si 1.65
O 0.1139 0.6365 0.3881  1 Si 1.64
O 0.8866 0.8632 0.6381  1 Si 1.65
Li 0.8511 0.2119 0.7476  4 O 1.94-2.07
Si 0.7089 0.4239 0.0051  4 O 1.62-1.73
O 0.1134 0.1368 0.6381  1 Si 1.65
Mn 0.0000 0.5000 0.2512  4 O 2.08
Li 0.4400 0.8504 0.4906  3 O 1.95-1.99
O 0.3416 0.7061 0.6024  1 Si 1.62
O 0.5000 0.0000 0.6587  2 Si 1.72
Li 0.8511 0.7119 0.9975  4 O 1.94-2.07
O 0.7683 0.5525 0.1047  1 Si 1.65
O 0.3426 0.2060 0.3523  1 Si 1.62
Li 0.1489 0.7881 0.2476  4 O 1.94-2.07
Li 0.5599 0.1496 0.4906  3 O 1.95-1.99
Li 0.5599 0.6496 0.7405  3 O 1.95-1.99
O 0.8861 0.3635 0.3881  1 Si 1.64
Li 0.5599 0.1496 0.9906  3 O 1.95-1.98
Si 0.7089 0.9237 0.7549  4 O 1.62-1.72
Li 0.4401 0.3504 0.2405  3 O 1.95-1.99
O 0.3426 0.2060 0.8523  1 Si 1.62
Si 0.2911 0.0763 0.2549  4 O 1.62-1.72
Si 0.2911 0.5761 0.0051  4 O 1.62-1.73
Si 0.7089 0.4239 0.5050  4 O 1.62-1.73
Li 0.1489 0.2881 0.4975  4 O 1.94-2.08
Si 0.2911 0.5761 0.5051  4 O 1.62-1.73
Si 0.2912 0.0763 0.7549  4 O 1.62-1.72
O 0.6584 0.2939 0.1024  1 Si 1.62
Li 0.8511 0.2119 0.2476  4 O 1.94-2.07
Li 0.4401 0.8504 0.9906  3 O 1.95-1.98
Mn 0.0000 0.0000 0.0010  4 O 2.08
O 0.7684 0.5525 0.6047  1 Si 1.65
O 0.1139 0.6365 0.8881  1 Si 1.64
Li 0.1489 0.2881 0.9975  4 O 1.94-2.07
Li 0.5599 0.6496 0.2405  3 O 1.95-1.99
O 0.5000 0.0000 0.1587  2 Si 1.72
O 0.6584 0.2939 0.6024  1 Si 1.62
O 0.8862 0.3635 0.8881  1 Si 1.64
Li 0.1489 0.7881 0.7476  4 O 1.94-2.07
O 0.2316 0.4475 0.1048  1 Si 1.65
Li 0.8511 0.7119 0.4975  4 O 1.94-2.07
O 0.8866 0.8632 0.1381  1 Si 1.65
O 0.7676 0.0524 0.3549  1 Si 1.65
O 0.3416 0.7061 0.1024  1 Si 1.62
Mn 0.0000 0.5000 0.7512  4 O 2.08
Si 0.7089 0.9237 0.2549  4 O 1.62-1.72
O 0.2326 0.9476 0.8549  1 Si 1.65
Li 0.4402 0.3504 0.7405  3 O 1.95-1.99
O 0.5000 0.5000 0.4087  2 Si 1.73
O 0.6574 0.7940 0.8523  1 Si 1.62
O 0.1134 0.1368 0.1381  1 Si 1.65
O 0.2317 0.4475 0.6048  1 Si 1.65
O 0.6574 0.7940 0.3523  1 Si 1.62
O 0.5000 0.5000 0.9087  2 Si 1.73
Mn 0.0000 0.0000 0.5010  4 O 2.08
O 0.7674 0.0524 0.8549  1 Si 1.65

Which of them is the least stable? Correct choice: Q.

## P
Li2MnSi4O11: relaxed, GGA+U.

Results
mass density = 2.7 g/cm³
crystal system = tetragonal

a = 8.4062 Å, b = 8.4062 Å, c = 8.4062 Å
α = 102.42°, β = 102.42°, γ = 124.73°
Closest atoms and distances in Å follow each position.
Element x y z (fractional)
O 0.5902 0.0493 0.2655  2 Si 1.64-1.65
O 0.3247 0.5902 0.5409  2 Si 1.64-1.65
Si 0.8904 0.2112 0.7142  4 O 1.62-1.65
Si 0.4970 0.1762 0.2858  4 O 1.62-1.65
Li 0.6511 0.6180 0.2690  3 O 2.02-2.04
Si 0.1762 0.8904 0.6792  4 O 1.62-1.65
O 0.5000 0.5000 0.0000  2 Mn 2.00, 4 Li 2.02
O 0.6573 0.5518 0.7628  1 Si 1.62
Mn 0.7563 0.7563 0.0000  6 O 1.90-2.00
O 0.2162 0.6753 0.2655  2 Si 1.64-1.65
Li 0.3489 0.3820 0.7310  3 O 2.02-2.04
O 0.7105 0.9613 0.6718  2 Si 1.63
O 0.0387 0.7105 0.7492  2 Si 1.63
Si 0.2112 0.4970 0.3208  4 O 1.62-1.65
O 0.0000 0.0000 0.0000  2 Mn 1.90
O 0.3427 0.4482 0.2372  1 Si 1.62
Li 0.6180 0.3489 0.9669  3 O 2.02-2.04
O 0.7838 0.3247 0.7345  2 Si 1.64-1.65
O 0.9507 0.2162 0.5409  2 Si 1.64-1.65
O 0.8944 0.6573 0.1055  1 Si 1.62
O 0.2895 0.0387 0.3282  2 Si 1.63
O 0.6753 0.4098 0.4591  2 Si 1.64-1.65
Mn 0.2437 0.2437 0.0000  6 O 1.90-2.00
Si 0.1096 0.7888 0.2858  4 O 1.62-1.65
O 0.9613 0.2895 0.2508  2 Si 1.63
O 0.0493 0.7838 0.4591  2 Si 1.64-1.65
O 0.7890 0.8944 0.2372  1 Si 1.62
Si 0.8238 0.1096 0.3208  4 O 1.62-1.65
Si 0.7888 0.5030 0.6792  4 O 1.62-1.65
O 0.1056 0.3427 0.8945  1 Si 1.62
O 0.4482 0.2110 0.1055  1 Si 1.62
Si 0.5030 0.8238 0.7142  4 O 1.62-1.65
Li 0.3820 0.6511 0.0331  3 O 2.02-2.04
O 0.5518 0.7890 0.8945  1 Si 1.62
O 0.4098 0.9507 0.7345  2 Si 1.64-1.65
O 0.2110 0.1056 0.7628  1 Si 1.62

## Q
Li2MnSi4O11: relaxed, GGA+U.

Results
mass density = 2.9 g/cm³
crystal system = monoclinic

a = 7.1645 Å, b = 7.1645 Å, c = 8.2757 Å
α = 81.34°, β = 81.34°, γ = 83.72°
Closest atoms and distances in Å follow each position.
Element x y z (fractional)
O 0.6209 0.8512 0.8410  1 Si 1.61
Li 0.9198 0.0802 0.7500  3 O 2.05-2.13
Si 0.1634 0.7467 0.9338  4 O 1.62-1.66
O 0.1541 0.7202 0.4526  1 Si 1.63
O 0.7449 0.4666 0.0921  2 Si 1.63-1.66
Mn 0.0000 0.5000 0.5000  6 O 1.87-1.98
Mn 0.5000 0.0000 0.0000  6 O 1.87-1.98
O 0.9509 0.7633 0.0329  2 Si 1.62-1.64
O 0.8660 0.1340 0.2500  2 Si 1.66
O 0.2367 0.0491 0.4671  2 Si 1.62-1.64
Si 0.7825 0.6626 0.1620  4 O 1.61-1.66
O 0.1943 0.4105 0.3265  1 Si 1.63
Li 0.6434 0.3566 0.7500  4 O 2.10-2.14
O 0.5895 0.8057 0.1735  1 Si 1.63
Si 0.8366 0.2533 0.0662  4 O 1.62-1.66
O 0.2551 0.5334 0.9079  2 Si 1.63-1.66
Si 0.2533 0.8366 0.5662  4 O 1.62-1.66
Si 0.2175 0.3374 0.8380  4 O 1.61-1.66
Li 0.0802 0.9198 0.2500  3 O 2.05-2.13
O 0.4666 0.7449 0.5921  2 Si 1.63-1.66
O 0.5334 0.2551 0.4079  2 Si 1.63-1.66
O 0.2798 0.8459 0.0474  1 Si 1.63
O 0.7202 0.1541 0.9526  1 Si 1.63
Si 0.7467 0.1634 0.4338  4 O 1.62-1.66
Li 0.3566 0.6434 0.2500  4 O 2.10-2.14
O 0.8057 0.5895 0.6735  1 Si 1.63
O 0.7633 0.9509 0.5329  2 Si 1.62-1.64
O 0.3791 0.1488 0.1590  1 Si 1.61
Si 0.6626 0.7825 0.6620  4 O 1.61-1.66
O 0.8512 0.6209 0.3410  1 Si 1.61
O 0.4105 0.1943 0.8265  1 Si 1.63
O 0.1340 0.8660 0.7500  2 Si 1.66
O 0.0491 0.2367 0.9671  2 Si 1.62-1.64
O 0.1488 0.3791 0.6590  1 Si 1.61
O 0.8459 0.2798 0.5474  1 Si 1.63
Si 0.3374 0.2175 0.3380  4 O 1.61-1.66

Which of them is the least stable? Correct choice: Q.

## P
Li2MnSi3O8: relaxed, GGA+U.

Results
mass density = 2.5 g/cm³
largest piezoelectric modulus = 1.04 C/m²

a = 6.4119 Å, b = 6.3028 Å, c = 10.2678 Å
α = 109.08°, β = 97.73°, γ = 103.07°
Closest atoms and distances in Å follow each position.
Element x y z (fractional)
O 0.8586 0.1483 0.9902  1 Si 1.61
O 0.8876 0.0434 0.7110  1 Si 1.62
Si 0.4051 0.9315 0.1677  4 O 1.59-1.68
O 0.8876 0.5434 0.2110  1 Si 1.62
Si 0.4051 0.4315 0.6677  4 O 1.59-1.68
Mn 0.6140 0.5860 0.3109  4 O 2.02-2.17
O 0.2982 0.0262 0.3076  2 Si 1.67
O 0.2982 0.5262 0.8076  2 Si 1.67
O 0.5533 0.7637 0.1793  1 Si 1.59
Li 0.1089 0.6894 0.3887  3 O 1.95-2.04
O 0.9447 0.1489 0.2561  2 Si 1.66-1.69
Li 0.8546 0.7852 0.1412  3 O 1.92-2.11
Mn 0.6140 0.0858 0.8108  4 O 2.02-2.17
Si 0.1932 0.7508 0.8617  4 O 1.60-1.67
O 0.5574 0.1747 0.1565  2 Si 1.67-1.69
O 0.5574 0.6747 0.6565  2 Si 1.67-1.69
O 0.1864 0.7963 0.0301  2 Si 1.67-1.68
Si 0.8231 0.2599 0.1473  4 O 1.61-1.69
Li 0.8546 0.2852 0.6412  3 O 1.92-2.11
O 0.8586 0.6483 0.4901  1 Si 1.61
Li 0.1089 0.1894 0.8887  3 O 1.95-2.04
Si 0.8231 0.7599 0.6473  4 O 1.61-1.69
O 0.5533 0.2637 0.6793  1 Si 1.59
O 0.9447 0.6489 0.7561  2 Si 1.66-1.69
O 0.3135 0.4945 0.3519  1 Si 1.60
O 0.1864 0.2963 0.5301  2 Si 1.67-1.68
O 0.3135 0.9945 0.8519  1 Si 1.60
Si 0.1932 0.2508 0.3617  4 O 1.60-1.67

## Q
Li2MnSi3O8: relaxed, GGA+U.

Results
mass density = 2.6 g/cm³
crystal system = monoclinic

a = 8.6236 Å, b = 6.3620 Å, c = 6.7119 Å
α = 74.70°, β = 90.00°, γ = 90.00°
Closest atoms and distances in Å follow each position.
Element x y z (fractional)
O 0.7595 0.0105 0.0534  2 Si 1.65-1.69
O 0.2595 0.9895 0.9466  2 Si 1.65-1.69
O 0.2030 0.2292 0.5557  1 Si 1.63
O 0.9960 0.9400 0.3328  1 Si 1.62
Si 0.3367 0.1591 0.7327  4 O 1.62-1.69
O 0.3232 0.7685 0.3376  1 Si 1.61
Si 0.9929 0.5809 0.0105  4 O 1.58-1.66
O 0.6709 0.4321 0.8948  2 Si 1.66
O 0.9659 0.3290 0.9930  2 Si 1.65
O 0.8232 0.2315 0.6624  1 Si 1.61
Li 0.6787 0.8463 0.7784  1 O 2.09
O 0.1709 0.5679 0.1052  2 Si 1.66
O 0.3759 0.3845 0.8057  2 Si 1.65-1.67
O 0.4687 0.2516 0.2080  1 Si 1.58
Li 0.1641 0.5808 0.5050  2 O 1.97-2.20
O 0.8759 0.6155 0.1943  2 Si 1.65-1.67
O 0.7030 0.7708 0.4443  1 Si 1.63
O 0.4659 0.6710 0.0070  2 Si 1.65
Si 0.8070 0.2480 0.8966  4 O 1.61-1.66
Mn 0.5023 0.9544 0.4014  4 O 2.01-2.07
Li 0.1787 0.1537 0.2216  1 O 2.09
O 0.9687 0.7484 0.7920  1 Si 1.58
Mn 0.0023 0.0456 0.5986  4 O 2.01-2.07
O 0.4960 0.0600 0.6672  1 Si 1.62
Li 0.6641 0.4192 0.4950  2 O 1.97-2.20
Si 0.4929 0.4191 0.9895  4 O 1.58-1.66
Si 0.8367 0.8409 0.2673  4 O 1.62-1.69
Si 0.3070 0.7520 0.1034  4 O 1.61-1.66

Which of them is the least stable? Correct choice: Q.

## P
Li2Mn2Si2O7: relaxed, GGA+U.

Results
mass density = 2.9 g/cm³
crystal system = orthorhombic

a = 5.4414 Å, b = 5.4414 Å, c = 13.4514 Å
α = 90.00°, β = 90.00°, γ = 124.23°
Closest atoms and distances in Å follow each position.
Element x y z (fractional)
Mn 0.7831 0.3431 0.4121  4 O 2.05-2.08
Si 0.4413 0.6684 0.3621  4 O 1.64-1.69
O 0.4443 0.9049 0.0607  1 Si 1.65
O 0.9049 0.4443 0.9393  1 Si 1.65
O 0.1470 0.3299 0.1228  1 Si 1.64
Si 0.6684 0.4413 0.8621  4 O 1.64-1.69
O 0.9049 0.4443 0.5607  1 Si 1.65
O 0.7532 0.6853 0.3669  1 Si 1.65
Mn 0.3431 0.7831 0.5879  4 O 2.05-2.08
Li 0.0068 0.9839 0.2500  4 O 2.12-2.33
O 0.3299 0.1470 0.8772  1 Si 1.64
Li 0.9839 0.0068 0.7500  4 O 2.12-2.33
O 0.6853 0.7532 0.6331  1 Si 1.65
O 0.4348 0.8034 0.2500  2 Si 1.69
O 0.4443 0.9049 0.4393  1 Si 1.65
Mn 0.7831 0.3431 0.0879  4 O 2.05-2.08
Li 0.0164 0.0164 0.5000  4 O 2.19-2.37
Li 0.0164 0.0164 0.0000  4 O 2.19-2.37
O 0.3299 0.1470 0.6228  1 Si 1.64
Mn 0.3431 0.7831 0.9121  4 O 2.05-2.08
O 0.7532 0.6853 0.1331  1 Si 1.65
O 0.6853 0.7532 0.8669  1 Si 1.65
O 0.1470 0.3299 0.3772  1 Si 1.64
Si 0.4413 0.6684 0.1379  4 O 1.64-1.69
O 0.8034 0.4348 0.7500  2 Si 1.69
Si 0.6684 0.4413 0.6379  4 O 1.64-1.69

## Q
Li2Mn2Si2O7: relaxed, GGA+U.

Results
mass density = 3.3 g/cm³
largest piezoelectric modulus = 0.72 C/m²
crystal system = orthorhombic

a = 5.0100 Å, b = 13.3687 Å, c = 5.0101 Å
α = 90.00°, β = 61.21°, γ = 90.00°
Closest atoms and distances in Å follow each position.
Element x y z (fractional)
O 0.2915 0.1292 0.7402  1 Si 1.64
Li 0.6539 0.0820 0.7539  4 O 1.95-2.07
O 0.6165 0.5567 0.9226  1 Si 1.62
Mn 0.9720 0.0000 0.0279  6 O 2.22-2.32
O 0.8694 0.8664 0.3370  1 Si 1.64
O 0.2915 0.3708 0.7403  1 Si 1.64
O 0.6630 0.1336 0.1305  1 Si 1.64
O 0.6165 0.9433 0.9224  1 Si 1.62
O 0.1641 0.2500 0.3822  2 Si 1.71
O 0.2597 0.6292 0.7086  1 Si 1.64
Li 0.2460 0.9181 0.3461  4 O 1.95-2.07
O 0.6630 0.3664 0.1306  1 Si 1.64
Si 0.3093 0.3632 0.4045  4 O 1.62-1.71
O 0.0775 0.0567 0.3834  1 Si 1.62
O 0.8694 0.6336 0.3371  1 Si 1.64
Li 0.6538 0.4180 0.7541  4 O 1.95-2.07
Mn 0.9981 0.2499 0.0370  5 O 2.17-2.25
Mn 0.9630 0.7500 0.0020  5 O 2.17-2.25
Mn 0.9722 0.5000 0.0278  6 O 2.22-2.32
Li 0.2459 0.5820 0.3463  4 O 1.95-2.07
O 0.6178 0.7500 0.8359  2 Si 1.71
O 0.0775 0.4433 0.3835  1 Si 1.62
Si 0.5955 0.6368 0.6908  4 O 1.62-1.71
Si 0.5955 0.8632 0.6907  4 O 1.62-1.71
Si 0.3093 0.1368 0.4044  4 O 1.62-1.71
O 0.2597 0.8708 0.7085  1 Si 1.64

Which of them is the least stable? Correct choice: P.